(1)
Material: Al3Cd
Method: DFT, GGA-PBE
State: relaxed

Cell and atoms, written as POSCAR:
```
Al3Cd
1.0
4.202 0.000 0.000
0.000 4.202 0.000
0.000 0.000 4.202
Al Cd
3 1
Direct
0.000 0.000 0.500 Al
0.000 0.500 0.000 Al
0.500 0.000 0.000 Al
0.500 0.500 0.500 Cd
```

## Properties
- Final energy: -11.6 eV for the cell shown
- Calculated volume: 74.18 Å³ per cell
- Magnetic moment: 0.000 μB/atom


(2)
Material: Al2CdCl8
Method: DFT, GGA-PBE
State: relaxed

Cell and atoms, written as POSCAR:
```
Al2CdCl8
1.0
7.191 0.000 0.000
0.000 7.108 0.000
-0.539 0.000 13.219
Al Cd Cl
4 2 16
Direct
0.000 0.065 0.000 Al
0.000 0.935 0.500 Al
0.583 0.425 0.200 Al
0.583 0.575 0.700 Al
0.143 0.243 0.238 Cd
0.143 0.757 0.738 Cd
0.096 0.349 0.039 Cl
0.096 0.651 0.539 Cl
0.216 0.083 0.419 Cl
0.216 0.917 0.919 Cl
0.357 0.459 0.788 Cl
0.357 0.541 0.288 Cl
0.491 0.133 0.183 Cl
0.491 0.867 0.683 Cl
0.611 0.426 0.565 Cl
0.611 0.574 0.065 Cl
0.744 0.062 0.919 Cl
0.744 0.938 0.419 Cl
0.842 0.429 0.295 Cl
0.842 0.571 0.795 Cl
0.994 0.062 0.652 Cl
0.994 0.938 0.152 Cl
```

## Properties
- Final energy: -77.4 eV for the cell shown
- Calculated volume: 675.69 Å³ per cell


(3)
Material: Er2AlCd
Method: DFT, GGA-PBE
State: relaxed

Cell and atoms, written as POSCAR:
```
Er2AlCd
1.0
0.000 3.640 3.640
3.640 0.000 3.640
3.640 3.640 0.000
Er Al Cd
2 1 1
Direct
0.250 0.250 0.250 Er
0.750 0.750 0.750 Er
0.000 0.000 0.000 Al
0.500 0.500 0.500 Cd
```

## Properties
- Final energy: -15.2 eV for the cell shown
- Calculated volume: 96.46 Å³ per cell


(4)
Material: Gd3AlCdS7
Method: DFT, GGA-PBE
State: relaxed

Cell and atoms, written as POSCAR:
```
Gd3AlCdS7
1.0
9.848 0.000 0.000
-4.924 8.528 0.000
0.000 0.000 6.252
Gd Al Cd S
6 2 2 14
Direct
0.147 0.381 0.000 Gd
0.234 0.853 0.000 Gd
0.381 0.234 0.500 Gd
0.619 0.766 0.000 Gd
0.766 0.147 0.500 Gd
0.853 0.619 0.500 Gd
0.333 0.667 0.423 Al
0.667 0.333 0.923 Al
0.000 0.000 0.304 Cd
0.000 0.000 0.804 Cd
0.097 0.577 0.267 S
0.108 0.258 0.577 S
0.150 0.892 0.577 S
0.258 0.150 0.077 S
0.333 0.667 0.787 S
0.423 0.520 0.267 S
0.480 0.903 0.267 S
0.520 0.097 0.767 S
0.577 0.480 0.767 S
0.667 0.333 0.287 S
0.742 0.850 0.577 S
0.850 0.108 0.077 S
0.892 0.742 0.077 S
0.903 0.423 0.767 S
```

## Properties
- Final energy: -189.9 eV for the cell shown
- Calculated volume: 525.11 Å³ per cell
- Magnetic moment: 1.753 μB/atom


(5)
Material: Ho2AlCd
Method: DFT, GGA-PBE
State: relaxed

Cell and atoms, written as POSCAR:
```
Ho2AlCd
1.0
0.000 3.664 3.664
3.664 0.000 3.664
3.664 3.664 0.000
Ho Al Cd
2 1 1
Direct
0.250 0.250 0.250 Ho
0.750 0.750 0.750 Ho
0.000 0.000 0.000 Al
0.500 0.500 0.500 Cd
```

## Properties
- Final energy: -15.2 eV for the cell shown
- Calculated volume: 98.40 Å³ per cell


(6)
Material: AlCdInS4
Method: DFT, GGA-PBE
State: relaxed

Cell and atoms, written as POSCAR:
```
AlCdInS4
1.0
1.949 1.126 12.683
-1.949 1.126 12.683
0.000 -2.251 12.683
Al Cd In S
1 1 1 4
Direct
0.000 0.000 0.000 Al
0.238 0.238 0.238 Cd
0.470 0.470 0.470 In
0.106 0.106 0.106 S
0.356 0.356 0.356 S
0.533 0.533 0.533 S
0.943 0.943 0.943 S
```

## Properties
- Final energy: -28.7 eV for the cell shown
- Calculated volume: 166.96 Å³ per cell
- Magnetic moment: 0.000 μB/atom


(7)
Material: Mg16Al12Cd
Method: DFT, GGA-PBE
State: relaxed

Cell and atoms, written as POSCAR:
```
Mg16Al12Cd
1.0
7.424 4.286 3.073
-7.424 4.286 3.073
0.000 -8.573 3.073
Mg Al Cd
16 12 1
Direct
0.000 0.000 0.000 Mg
0.000 0.000 0.654 Mg
0.000 0.654 0.000 Mg
0.290 0.597 0.597 Mg
0.314 0.314 0.711 Mg
0.314 0.711 0.314 Mg
0.400 0.680 0.998 Mg
0.400 0.998 0.680 Mg
0.597 0.290 0.597 Mg
0.597 0.597 0.290 Mg
0.654 0.000 0.000 Mg
0.680 0.400 0.998 Mg
0.680 0.998 0.400 Mg
0.711 0.314 0.314 Mg
0.998 0.400 0.680 Mg
0.998 0.680 0.400 Mg
0.181 0.365 0.994 Al
0.181 0.994 0.365 Al
0.185 0.814 0.814 Al
0.365 0.181 0.994 Al
0.365 0.994 0.181 Al
0.638 0.638 0.825 Al
0.638 0.825 0.638 Al
0.814 0.185 0.814 Al
0.814 0.814 0.185 Al
0.825 0.638 0.638 Al
0.994 0.181 0.365 Al
0.994 0.365 0.181 Al
0.334 0.334 0.334 Cd
```

## Properties
- Energy relative to the lowest polymorph listed for this composition: 4.3 meV/atom
- Final energy: -72.1 eV for the cell shown
- Calculated volume: 586.70 Å³ per cell
- Magnetic moment: 0.000 μB/atom


(8)
Material: Mg16Al12Cd
Method: DFT, GGA-PBE
State: relaxed

Cell and atoms, written as POSCAR:
```
Mg16Al12Cd
1.0
5.268 -7.409 0.000
5.268 7.409 0.000
-5.199 0.000 7.487
Mg Al Cd
16 12 1
Direct
0.000 0.000 0.000 Mg
0.000 0.348 0.998 Mg
0.001 0.001 0.344 Mg
0.001 0.317 0.603 Mg
0.004 0.603 0.319 Mg
0.292 0.684 0.686 Mg
0.317 0.001 0.603 Mg
0.322 0.602 0.002 Mg
0.348 0.000 0.998 Mg
0.403 0.717 0.402 Mg
0.602 0.322 0.002 Mg
0.603 0.004 0.319 Mg
0.655 0.655 0.663 Mg
0.684 0.292 0.686 Mg
0.690 0.690 0.292 Mg
0.717 0.403 0.402 Mg
0.003 0.816 0.636 Al
0.005 0.635 0.819 Al
0.182 0.369 0.364 Al
0.184 0.184 0.821 Al
0.190 0.821 0.188 Al
0.369 0.182 0.364 Al
0.369 0.369 0.182 Al
0.635 0.005 0.819 Al
0.639 0.823 0.007 Al
0.816 0.003 0.636 Al
0.821 0.190 0.188 Al
0.823 0.639 0.007 Al
0.388 0.388 0.706 Cd
```

## Properties
- Energy relative to the lowest polymorph listed for this composition: 0.0 meV/atom
- Final energy: -72.2 eV for the cell shown
- Calculated volume: 584.46 Å³ per cell
- Magnetic moment: 0.000 μB/atom